Below is an optimized crystal structure of Eu2AgAu, with properties calculated at the GGA-PBE level.

Computed properties:
- space group = Fm-3m (225)
- volume (Å³ per cell) = 111.46
- ΔE_f (eV per atom) = -0.553
- uncorrected energy (eV/atom) = -7.2076

```
Eu2AgAu
1.0
0.000 3.820 3.820
3.820 0.000 3.820
3.820 3.820 0.000
Eu Ag Au
2 1 1
direct
0.250 0.250 0.250
0.750 0.750 0.750
0.000 0.000 0.000
0.500 0.500 0.500
```

***

Below is an optimized crystal structure of MnAg2GeTe4, with properties calculated at the GGA-PBE level.

Computed properties:
- space group = I-42m (121)
- volume (Å³ per cell) = 255.75
- ΔE_f (eV per atom) = -0.299
- uncorrected energy (eV/atom) = -4.0904

```
MnAg2GeTe4
1.0
-3.139 3.139 6.487
3.139 -3.139 6.487
3.139 3.139 -6.487
Mn Ag Ge Te
1 2 1 4
direct
0.000 0.000 0.000
0.250 0.750 0.500
0.750 0.250 0.500
0.500 0.500 0.000
0.135 0.135 0.510
0.375 0.865 0.000
0.625 0.625 0.490
0.865 0.375 0.000
```

***

Below is an optimized crystal structure of Mg5Zn, with properties calculated at the GGA-PBE level.

Computed properties:
- space group = Amm2 (38)
- volume (Å³ per cell) = 127.89
- ΔE_f (eV per atom) = -0.030
- uncorrected energy (eV/atom) = -1.5732

```
Mg5Zn
1.0
5.027 0.000 0.000
0.000 1.577 8.067
0.000 -1.577 8.067
Mg Zn
5 1
direct
0.000 0.000 0.000
0.000 0.321 0.321
0.500 0.109 0.109
0.500 0.438 0.438
0.500 0.769 0.769
0.000 0.661 0.661
```

***

Below is an optimized crystal structure of K3B3O10, with properties calculated at the GGA-PBE level.

Computed properties:
- space group = Cmc2_1 (36)
- volume (Å³ per cell) = 493.31
- ΔE_f (eV per atom) = -1.671
- uncorrected energy (eV/atom) = -5.7948
- polymorph energy (0 for the lowest one) (eV per atom) = 0.0000

```
K3B3O10
1.0
7.320 -3.635 0.000
7.320 3.635 0.000
0.000 0.000 9.271
K B O
6 6 20
direct
0.010 0.990 0.500
0.280 0.297 0.495
0.297 0.280 0.995
0.703 0.720 0.495
0.720 0.703 0.995
0.990 0.010 0.000
0.174 0.649 0.242
0.351 0.826 0.242
0.440 0.560 0.756
0.560 0.440 0.256
0.649 0.174 0.742
0.826 0.351 0.742
0.038 0.658 0.352
0.054 0.655 0.122
0.072 0.221 0.232
0.177 0.823 0.247
0.221 0.072 0.732
0.252 0.748 0.771
0.342 0.962 0.352
0.345 0.946 0.122
0.383 0.451 0.248
0.451 0.383 0.748
0.549 0.617 0.248
0.617 0.549 0.748
0.655 0.054 0.622
0.658 0.038 0.852
0.748 0.252 0.271
0.779 0.928 0.232
0.823 0.177 0.747
0.928 0.779 0.732
0.946 0.345 0.622
0.962 0.342 0.852
```

***

Below is an optimized crystal structure of TePd, with properties calculated at the GGA-PBE level.

Computed properties:
- space group = P6_3/mmc (194)
- volume (Å³ per cell) = 88.34
- ΔE_f (eV per atom) = -0.365
- uncorrected energy (eV/atom) = -4.5269

```
TePd
1.0
4.212 0.000 0.000
-2.106 3.648 0.000
0.000 0.000 5.750
Te Pd
2 2
direct
0.333 0.667 0.250
0.667 0.333 0.750
0.000 0.000 0.000
0.000 0.000 0.500
```

***

Below is an optimized crystal structure of TiCd4N4, with properties calculated at the GGA-PBE level.

Computed properties:
- space group = P-1 (2)
- volume (Å³ per cell) = 270.89
- ΔE_f (eV per atom) = -0.089
- uncorrected energy (eV/atom) = -4.9215

```
TiCd4N4
1.0
5.841 0.000 0.000
2.046 5.530 0.000
2.713 0.342 8.386
Ti Cd N
2 8 8
direct
0.115 0.214 0.233
0.885 0.786 0.767
0.021 0.754 0.410
0.263 0.740 0.996
0.326 0.223 0.812
0.449 0.749 0.581
0.551 0.251 0.419
0.674 0.777 0.188
0.737 0.260 0.004
0.979 0.246 0.590
0.042 0.003 0.811
0.169 0.534 0.625
0.309 0.339 0.042
0.332 0.031 0.368
0.668 0.969 0.632
0.691 0.661 0.958
0.831 0.466 0.375
0.958 0.997 0.189
```

***

Below is an optimized crystal structure of SiH8N2F6, with properties calculated at the GGA-PBE level.

Computed properties:
- space group = P6_3mc (186)
- largest piezoelectric modulus (C/m2) = 0.75
- volume (Å³ per cell) = 293.88
- ΔE_f (eV per atom) = -1.760
- uncorrected energy (eV/atom) = -5.1695

```
SiH8N2F6
1.0
5.939 0.000 0.000
-2.969 5.143 0.000
0.000 0.000 9.621
Si H N F
2 16 4 12
direct
0.333 0.667 0.000
0.667 0.333 0.500
0.000 0.000 0.440
0.000 0.000 0.940
0.095 0.189 0.298
0.095 0.905 0.298
0.144 0.572 0.657
0.189 0.095 0.798
0.333 0.667 0.515
0.428 0.572 0.657
0.428 0.856 0.657
0.572 0.144 0.157
0.572 0.428 0.157
0.667 0.333 0.015
0.811 0.905 0.298
0.856 0.428 0.157
0.905 0.095 0.798
0.905 0.811 0.798
0.000 0.000 0.333
0.000 0.000 0.833
0.333 0.667 0.622
0.667 0.333 0.122
0.060 0.530 0.898
0.196 0.393 0.105
0.196 0.804 0.105
0.393 0.196 0.605
0.470 0.530 0.898
0.470 0.940 0.898
0.530 0.060 0.398
0.530 0.470 0.398
0.607 0.804 0.105
0.804 0.196 0.605
0.804 0.607 0.605
0.940 0.470 0.398
```

***

Below is an optimized crystal structure of Dy3Al, with properties calculated at the GGA-PBE level.

Computed properties:
- space group = Pm-3m (221)
- volume (Å³ per cell) = 107.54
- ΔE_f (eV per atom) = -0.186
- uncorrected energy (eV/atom) = -4.5773

```
Dy3Al
1.0
4.755 0.000 0.000
0.000 4.755 0.000
0.000 0.000 4.755
Dy Al
3 1
direct
0.000 0.000 0.500
0.000 0.500 0.000
0.500 0.000 0.000
0.500 0.500 0.500
```

***

Below is an optimized crystal structure of LiMg15, with properties calculated at the GGA-PBE level.

Computed properties:
- space group = P-6m2 (187)
- volume (Å³ per cell) = 362.42
- ΔE_f (eV per atom) = -0.004
- uncorrected energy (eV/atom) = -1.6236

```
LiMg15
1.0
6.366 0.000 0.000
-3.183 5.513 0.000
0.000 0.000 10.326
Li Mg
1 15
direct
0.000 0.000 0.000
0.000 0.000 0.500
0.000 0.500 0.000
0.000 0.500 0.500
0.166 0.332 0.250
0.166 0.332 0.750
0.166 0.834 0.250
0.166 0.834 0.750
0.500 0.000 0.000
0.500 0.000 0.500
0.500 0.500 0.000
0.500 0.500 0.500
0.667 0.333 0.250
0.667 0.333 0.750
0.668 0.834 0.250
0.668 0.834 0.750
```

***

Below is an optimized crystal structure of TlAgF3, with properties calculated at the GGA-PBE level.

Computed properties:
- space group = P1 (1)
- volume (Å³ per cell) = 86.83
- ΔE_f (eV per atom) = -1.709
- uncorrected energy (eV/atom) = -3.6195

```
TlAgF3
1.0
4.427 0.000 0.000
0.032 4.429 0.000
0.064 0.008 4.429
Tl Ag F
1 1 3
direct
0.000 0.000 0.000
0.498 0.498 0.508
0.490 0.493 0.009
0.500 0.998 0.511
0.998 0.499 0.507
```

***

Below is an optimized crystal structure of TmMgAg, with properties calculated at the GGA-PBE level.

Computed properties:
- space group = P-62m (189)
- volume (Å³ per cell) = 208.24
- ΔE_f (eV per atom) = -0.267
- uncorrected energy (eV/atom) = -3.2367

```
TmMgAg
1.0
7.705 0.000 0.000
-3.852 6.672 0.000
0.000 0.000 4.051
Tm Mg Ag
3 3 3
direct
0.000 0.589 0.000
0.411 0.411 0.000
0.589 0.000 0.000
0.000 0.250 0.500
0.250 0.000 0.500
0.750 0.750 0.500
0.000 0.000 0.000
0.333 0.667 0.500
0.667 0.333 0.500
```

***

Below is an optimized crystal structure of Tb2Ni7, with properties calculated at the GGA-PBE level.

Computed properties:
- space group = P6_3/mmc (194)
- volume (Å³ per cell) = 506.26
- ΔE_f (eV per atom) = -0.381
- uncorrected energy (eV/atom) = -5.9068
- polymorph energy (0 for the lowest one) (eV per atom) = 0.0062

```
Tb2Ni7
1.0
4.924 0.000 0.000
-2.462 4.265 0.000
0.000 0.000 24.108
Tb Ni
8 28
direct
0.333 0.667 0.030
0.333 0.667 0.174
0.333 0.667 0.326
0.333 0.667 0.470
0.667 0.333 0.530
0.667 0.333 0.674
0.667 0.333 0.826
0.667 0.333 0.970
0.000 0.000 0.000
0.000 0.000 0.168
0.000 0.000 0.332
0.000 0.000 0.500
0.000 0.000 0.668
0.000 0.000 0.832
0.167 0.334 0.586
0.167 0.334 0.750
0.167 0.334 0.914
0.167 0.833 0.586
0.167 0.833 0.750
0.167 0.833 0.914
0.333 0.667 0.668
0.333 0.667 0.832
0.334 0.167 0.086
0.334 0.167 0.250
0.334 0.167 0.414
0.666 0.833 0.586
0.666 0.833 0.750
0.666 0.833 0.914
0.667 0.333 0.168
0.667 0.333 0.332
0.833 0.167 0.086
0.833 0.167 0.250
0.833 0.167 0.414
0.833 0.666 0.086
0.833 0.666 0.250
0.833 0.666 0.414
```

***

Among the records above, which one has the lowest volume?
TlAgF3

***

Number 4 is which compound?
K3B3O10

***

Which value of uncorrected energy does entry 6 give?
-4.9215 eV/atom

***

Which of these has the highest uncorrected energy?
Mg5Zn